## a
Rb2LiPr2W4O16 | the Materials Project database | PBE with a Hubbard U | optimized geometry; total moment = 0.99 μB per cell
1.0
4.169 5.703 -3.484
4.169 -5.703 -3.484
0.081 0.000 -7.515
Rb Li Pr W O
2 1 2 4 16
Direct
0.786 0.214 0.750
0.246 0.754 0.250
0.007 0.993 0.250
0.228 0.772 0.750
0.756 0.244 0.250
0.288 0.310 0.710
0.708 0.691 0.293
0.690 0.712 0.790
0.309 0.292 0.207
0.352 0.239 0.956
0.645 0.758 0.045
0.761 0.648 0.544
0.242 0.355 0.455
0.624 0.936 0.636
0.382 0.071 0.360
0.064 0.376 0.864
0.929 0.618 0.140
0.419 0.627 0.525
0.576 0.376 0.482
0.373 0.581 0.975
0.624 0.424 0.018
0.210 0.036 0.832
0.791 0.964 0.187
0.964 0.790 0.668
0.036 0.209 0.313

---

## b
Rb2LiPr2W4O16 | the Materials Project database | PBE with a Hubbard U | optimized geometry; total moment = 1.00 μB per cell
1.0
-7.372 -2.175 2.561
-3.155 3.300 -6.242
-4.080 -4.501 -4.572
Rb Li Pr W O
2 1 2 4 16
Direct
0.875 0.151 0.743
0.201 0.795 0.246
0.613 0.365 0.749
0.211 0.760 0.756
0.785 0.249 0.239
0.292 0.315 0.703
0.690 0.690 0.294
0.681 0.706 0.794
0.310 0.298 0.203
0.357 0.244 0.953
0.624 0.741 0.066
0.741 0.635 0.560
0.266 0.377 0.423
0.652 0.953 0.629
0.342 0.053 0.373
0.070 0.393 0.854
0.918 0.629 0.139
0.417 0.633 0.523
0.591 0.373 0.487
0.384 0.599 0.960
0.622 0.401 0.014
0.226 0.042 0.802
0.766 0.956 0.198
0.935 0.771 0.706
0.053 0.246 0.295

---

## c
Rb2LiPr2W4O16 | the Materials Project database | PBE with a Hubbard U | optimized geometry; total moment = 1.00 μB per cell
1.0
4.213 5.312 -3.496
4.582 -5.675 -3.602
0.133 -0.075 -7.593
Rb Li Pr W O
2 1 2 4 16
Direct
0.751 0.150 0.804
0.225 0.845 0.230
0.010 0.474 0.370
0.245 0.794 0.745
0.762 0.206 0.263
0.292 0.321 0.699
0.693 0.682 0.293
0.695 0.683 0.788
0.318 0.305 0.199
0.365 0.266 0.933
0.630 0.735 0.064
0.765 0.616 0.559
0.236 0.384 0.447
0.624 0.910 0.643
0.382 0.080 0.359
0.040 0.347 0.875
0.958 0.655 0.136
0.404 0.622 0.540
0.599 0.386 0.459
0.376 0.588 0.974
0.641 0.416 0.021
0.249 0.066 0.788
0.751 0.931 0.216
0.959 0.771 0.695
0.028 0.260 0.316

---

Ordering by calculated energy gives the sequence c, b, a, with the first entry being the most stable.

---

## a
Li2V2S3O12 | the Materials Project database | PBE with a Hubbard U | optimized geometry; total moment = 24.00 μB per cell
1.0
8.789 0.000 0.000
0.000 8.983 0.000
0.000 0.000 12.461
Li V S O
8 8 12 48
Direct
0.216 0.277 0.182
0.784 0.777 0.182
0.284 0.777 0.318
0.716 0.277 0.318
0.284 0.723 0.682
0.716 0.223 0.682
0.216 0.223 0.818
0.784 0.723 0.818
0.252 0.962 0.114
0.748 0.462 0.114
0.752 0.962 0.386
0.248 0.462 0.386
0.248 0.038 0.614
0.752 0.538 0.614
0.252 0.538 0.886
0.748 0.038 0.886
0.455 0.250 0.000
0.545 0.750 0.000
0.102 0.606 0.147
0.898 0.106 0.147
0.398 0.106 0.353
0.602 0.606 0.353
0.045 0.750 0.500
0.955 0.250 0.500
0.398 0.394 0.647
0.602 0.894 0.647
0.102 0.894 0.853
0.898 0.394 0.853
0.137 0.575 0.034
0.863 0.075 0.034
0.545 0.361 0.057
0.455 0.861 0.057
0.353 0.176 0.081
0.647 0.676 0.081
0.066 0.113 0.163
0.934 0.613 0.163
0.169 0.751 0.182
0.831 0.251 0.182
0.834 0.984 0.216
0.166 0.484 0.216
0.334 0.984 0.284
0.666 0.484 0.284
0.669 0.751 0.318
0.331 0.251 0.318
0.434 0.613 0.337
0.566 0.113 0.337
0.147 0.676 0.419
0.853 0.176 0.419
0.045 0.361 0.443
0.955 0.861 0.443
0.637 0.575 0.466
0.363 0.075 0.466
0.363 0.425 0.534
0.637 0.925 0.534
0.045 0.139 0.557
0.955 0.639 0.557
0.147 0.824 0.581
0.853 0.324 0.581
0.434 0.887 0.663
0.566 0.387 0.663
0.331 0.249 0.682
0.669 0.749 0.682
0.334 0.516 0.716
0.666 0.016 0.716
0.166 0.016 0.784
0.834 0.516 0.784
0.169 0.749 0.818
0.831 0.249 0.818
0.066 0.387 0.837
0.934 0.887 0.837
0.353 0.324 0.919
0.647 0.824 0.919
0.455 0.639 0.943
0.545 0.139 0.943
0.137 0.925 0.966
0.863 0.425 0.966

---

## b
Li2V2S3O12 | the Materials Project database | PBE with a Hubbard U | optimized geometry; total moment = 48.00 μB per cell
1.0
-2.621 -7.684 -3.358
8.316 -3.115 0.639
-4.791 -8.184 22.469
Li V S O
16 16 24 96
Direct
0.037 0.622 0.291
0.037 0.878 0.791
0.144 0.932 0.010
0.144 0.568 0.510
0.356 0.068 0.510
0.356 0.432 0.010
0.463 0.122 0.291
0.463 0.378 0.791
0.537 0.622 0.209
0.537 0.878 0.709
0.644 0.568 0.990
0.644 0.932 0.490
0.856 0.432 0.490
0.856 0.068 0.990
0.963 0.122 0.209
0.963 0.378 0.709
0.003 0.400 0.063
0.003 0.100 0.563
0.998 0.797 0.179
0.998 0.703 0.679
0.502 0.297 0.179
0.502 0.203 0.679
0.497 0.600 0.563
0.497 0.900 0.063
0.503 0.400 0.437
0.503 0.100 0.937
0.498 0.703 0.821
0.498 0.797 0.321
0.002 0.297 0.321
0.002 0.203 0.821
0.997 0.900 0.437
0.997 0.600 0.937
0.144 0.947 0.300
0.144 0.553 0.800
0.149 0.254 0.448
0.149 0.246 0.948
0.195 0.093 0.116
0.195 0.407 0.616
0.305 0.593 0.116
0.305 0.907 0.616
0.351 0.754 0.448
0.351 0.746 0.948
0.356 0.447 0.300
0.356 0.053 0.800
0.644 0.553 0.700
0.644 0.947 0.200
0.649 0.254 0.052
0.649 0.246 0.552
0.695 0.093 0.384
0.695 0.407 0.884
0.805 0.593 0.384
0.805 0.907 0.884
0.851 0.754 0.052
0.851 0.746 0.552
0.856 0.447 0.200
0.856 0.053 0.700
0.065 0.389 0.466
0.065 0.111 0.966
0.083 0.093 0.279
0.083 0.407 0.779
0.084 0.114 0.476
0.084 0.386 0.976
0.089 0.913 0.355
0.089 0.587 0.855
0.094 0.189 0.083
0.094 0.311 0.583
0.094 0.823 0.262
0.094 0.677 0.762
0.098 0.010 0.157
0.098 0.490 0.657
0.140 0.231 0.389
0.140 0.269 0.889
0.186 0.455 0.298
0.186 0.045 0.798
0.190 0.679 0.146
0.190 0.821 0.646
0.190 0.763 0.467
0.190 0.737 0.967
0.232 0.017 0.578
0.232 0.483 0.078
0.268 0.983 0.078
0.268 0.517 0.578
0.310 0.237 0.967
0.310 0.263 0.467
0.310 0.179 0.146
0.310 0.321 0.646
0.314 0.955 0.298
0.314 0.545 0.798
0.360 0.731 0.389
0.360 0.769 0.889
0.402 0.510 0.157
0.402 0.990 0.657
0.406 0.323 0.262
0.406 0.177 0.762
0.406 0.689 0.083
0.406 0.811 0.583
0.411 0.087 0.855
0.411 0.413 0.355
0.416 0.614 0.476
0.416 0.886 0.976
0.417 0.593 0.279
0.417 0.907 0.779
0.435 0.611 0.966
0.435 0.889 0.466
0.565 0.389 0.034
0.565 0.111 0.534
0.583 0.093 0.221
0.583 0.407 0.721
0.584 0.114 0.024
0.584 0.386 0.524
0.589 0.587 0.645
0.589 0.913 0.145
0.594 0.189 0.417
0.594 0.311 0.917
0.594 0.823 0.238
0.594 0.677 0.738
0.598 0.010 0.343
0.598 0.490 0.843
0.640 0.231 0.111
0.640 0.269 0.611
0.686 0.455 0.202
0.686 0.045 0.702
0.690 0.679 0.354
0.690 0.821 0.854
0.690 0.763 0.033
0.690 0.737 0.533
0.732 0.483 0.422
0.732 0.017 0.922
0.768 0.983 0.422
0.768 0.517 0.922
0.810 0.263 0.033
0.810 0.237 0.533
0.810 0.179 0.354
0.810 0.321 0.854
0.814 0.545 0.702
0.814 0.955 0.202
0.860 0.731 0.111
0.860 0.769 0.611
0.902 0.510 0.343
0.902 0.990 0.843
0.906 0.323 0.238
0.906 0.177 0.738
0.906 0.689 0.417
0.906 0.811 0.917
0.911 0.413 0.145
0.911 0.087 0.645
0.916 0.614 0.024
0.916 0.886 0.524
0.917 0.593 0.221
0.917 0.907 0.721
0.935 0.611 0.534
0.935 0.889 0.034

---

Ordering by calculated energy gives the sequence a, b, with the first entry being the most stable.

---

## a
LiVS3O12 | the Materials Project database | PBE with a Hubbard U | optimized geometry; total moment = 0.00 μB per cell
1.0
-6.825 4.252 -1.501
-0.875 -7.289 -3.807
0.439 -1.462 8.283
Li V S O
2 2 6 24
Direct
0.855 0.227 0.427
0.145 0.773 0.573
0.000 0.000 0.000
0.500 0.500 0.500
0.909 0.554 0.767
0.457 0.242 0.101
0.779 0.905 0.562
0.221 0.095 0.438
0.543 0.758 0.899
0.091 0.446 0.233
0.993 0.230 0.137
0.967 0.511 0.299
0.878 0.015 0.775
0.731 0.029 0.488
0.895 0.822 0.503
0.762 0.880 0.989
0.559 0.152 0.190
0.744 0.513 0.582
0.833 0.479 0.873
0.477 0.417 0.255
0.502 0.712 0.036
0.408 0.248 0.478
0.592 0.752 0.522
0.498 0.288 0.964
0.523 0.583 0.745
0.167 0.521 0.127
0.256 0.487 0.418
0.441 0.848 0.810
0.238 0.120 0.011
0.105 0.178 0.497
0.269 0.971 0.512
0.122 0.985 0.225
0.033 0.489 0.701
0.007 0.770 0.863

---

## b
LiVS3O12 | the Materials Project database | PBE with a Hubbard U | optimized geometry; total moment = 0.00 μB per cell
1.0
-0.102 -0.745 -8.182
8.019 -0.520 2.545
-4.244 -6.632 3.049
Li V S O
2 2 6 24
Direct
0.875 0.465 0.235
0.751 0.120 0.559
0.012 0.984 0.001
0.489 0.505 0.499
0.567 0.917 0.776
0.212 0.425 0.091
0.091 0.221 0.441
0.902 0.777 0.563
0.752 0.537 0.886
0.467 0.114 0.251
0.031 0.865 0.767
0.254 0.000 0.124
0.997 0.708 0.456
0.531 0.993 0.313
0.085 0.469 0.167
0.479 0.859 0.885
0.506 0.743 0.594
0.274 0.517 0.989
0.241 0.412 0.488
0.138 0.215 0.985
0.397 0.475 0.262
0.822 0.895 0.518
0.170 0.120 0.519
0.576 0.526 0.754
0.891 0.753 0.985
0.740 0.596 0.531
0.714 0.498 0.030
0.474 0.261 0.424
0.566 0.207 0.168
0.838 0.438 0.793
0.544 0.058 0.723
0.941 0.256 0.480
0.784 0.981 0.870
0.011 0.118 0.224

---

Ordering by calculated energy gives the sequence b, a, with the first entry being the most stable.